1.
{
  "formula": "P7Rh12",
  "functional": "PBE",
  "state": "relaxed",
  "cell": [[0.000, 0.000, -3.535], [-9.160, 0.000, 0.000], [-4.580, 7.933, 0.000]],
  "species": ["P", "P", "P", "P", "P", "P", "P", "Rh", "Rh", "Rh", "Rh", "Rh", "Rh", "Rh", "Rh", "Rh", "Rh", "Rh", "Rh"],
  "fractional_positions": [[0.750, 0.000, 0.000], [0.750, 0.842, 0.716], [0.750, 0.442, 0.842], [0.750, 0.716, 0.442], [0.250, 0.162, 0.281], [0.250, 0.556, 0.162], [0.250, 0.281, 0.556], [0.750, 0.238, 0.747], [0.750, 0.015, 0.238], [0.750, 0.747, 0.015], [0.250, 0.772, 0.242], [0.250, 0.986, 0.772], [0.250, 0.242, 0.986], [0.750, 0.132, 0.484], [0.750, 0.383, 0.132], [0.750, 0.484, 0.383], [0.250, 0.863, 0.513], [0.250, 0.624, 0.863], [0.250, 0.513, 0.624]],
  "ef_ev_per_atom": -0.6077,
  "energy_ry_per_atom": -0.533
}



2.
{
  "formula": "PrAsS",
  "functional": "PBE",
  "state": "relaxed",
  "cell": [[3.943, 0.000, 0.000], [0.000, 3.995, 0.000], [0.000, 0.000, 17.747]],
  "species": ["Pr", "Pr", "Pr", "Pr", "As", "As", "As", "As", "S", "S", "S", "S"],
  "fractional_positions": [[0.250, 0.219, 0.854], [0.250, 0.281, 0.354], [0.750, 0.781, 0.146], [0.750, 0.719, 0.646], [0.750, 0.206, 0.502], [0.750, 0.294, 0.002], [0.250, 0.794, 0.498], [0.250, 0.706, 0.998], [0.250, 0.220, 0.686], [0.250, 0.280, 0.186], [0.750, 0.780, 0.314], [0.750, 0.720, 0.814]],
  "energy_corrected_mp2020_ev_per_atom": -6.25,
  "ef_ev_per_atom": -1.7262,
  "energy_ry_per_atom": -0.447
}



3.
{
  "formula": "Rb2Zn5As4",
  "functional": "PBE",
  "state": "relaxed",
  "cell": [[-6.819, 1.196, -0.232], [2.190, -6.115, -2.408], [-1.195, -4.702, 10.853]],
  "species": ["Rb", "Rb", "Rb", "Rb", "Zn", "Zn", "Zn", "Zn", "Zn", "Zn", "Zn", "Zn", "Zn", "Zn", "As", "As", "As", "As", "As", "As", "As", "As"],
  "fractional_positions": [[0.217, 0.783, 0.500], [0.217, 0.783, 0.000], [0.783, 0.217, 0.500], [0.783, 0.217, 0.000], [0.526, 0.239, 0.250], [0.761, 0.474, 0.750], [0.474, 0.761, 0.750], [0.239, 0.526, 0.250], [0.654, 0.654, 0.391], [0.346, 0.346, 0.609], [0.654, 0.654, 0.109], [0.346, 0.346, 0.891], [0.009, 0.009, 0.250], [0.991, 0.991, 0.750], [0.602, 0.913, 0.250], [0.087, 0.398, 0.750], [0.398, 0.087, 0.750], [0.913, 0.602, 0.250], [0.282, 0.282, 0.400], [0.718, 0.718, 0.600], [0.282, 0.282, 0.100], [0.718, 0.718, 0.900]],
  "ef_ev_per_atom": -0.3271,
  "energy_ry_per_atom": -0.204
}



4.
{
  "formula": "HfBrN",
  "functional": "PBE",
  "state": "relaxed",
  "cell": [[-3.397, -0.030, 1.136], [-0.156, -4.079, -0.576], [2.852, -1.309, 8.492]],
  "species": ["Hf", "Hf", "Br", "Br", "N", "N"],
  "fractional_positions": [[0.500, 0.000, 0.095], [0.000, 0.500, 0.905], [0.500, 0.500, 0.673], [0.000, 0.000, 0.327], [0.500, 0.500, 0.033], [0.000, 0.000, 0.967]],
  "energy_corrected_mp2020_ev_per_atom": -8.47,
  "ef_ev_per_atom": -1.8282,
  "energy_ry_per_atom": -0.614
}



5.
{
  "formula": "Tb3Al12Ru4",
  "functional": "PBE",
  "state": "relaxed",
  "cell": [[-8.661, 0.735, -1.639], [3.579, -7.969, 1.384], [-1.707, 0.867, 9.408]],
  "species": ["Tb", "Tb", "Tb", "Tb", "Tb", "Tb", "Al", "Al", "Al", "Al", "Al", "Al", "Al", "Al", "Al", "Al", "Al", "Al", "Al", "Al", "Al", "Al", "Al", "Al", "Al", "Al", "Al", "Al", "Al", "Al", "Ru", "Ru", "Ru", "Ru", "Ru", "Ru", "Ru", "Ru"],
  "fractional_positions": [[0.387, 0.193, 0.250], [0.807, 0.193, 0.250], [0.807, 0.613, 0.250], [0.613, 0.807, 0.750], [0.193, 0.807, 0.750], [0.193, 0.387, 0.750], [0.439, 0.878, 0.250], [0.122, 0.561, 0.250], [0.439, 0.561, 0.250], [0.561, 0.122, 0.750], [0.878, 0.439, 0.750], [0.561, 0.439, 0.750], [0.162, 0.838, 0.421], [0.162, 0.324, 0.421], [0.676, 0.838, 0.421], [0.838, 0.162, 0.579], [0.838, 0.676, 0.579], [0.324, 0.162, 0.579], [0.838, 0.162, 0.921], [0.838, 0.676, 0.921], [0.324, 0.162, 0.921], [0.162, 0.838, 0.079], [0.162, 0.324, 0.079], [0.676, 0.838, 0.079], [0.333, 0.667, 0.513], [0.667, 0.333, 0.487], [0.667, 0.333, 0.013], [0.333, 0.667, 0.987], [0.000, 0.000, 0.250], [0.000, 0.000, 0.750], [0.000, 0.000, 0.500], [0.000, 0.000, 0.000], [0.500, 0.000, 0.500], [0.000, 0.500, 0.500], [0.500, 0.500, 0.500], [0.500, 0.000, 0.000], [0.000, 0.500, 0.000], [0.500, 0.500, 0.000]],
  "ef_ev_per_atom": -0.6651,
  "energy_ry_per_atom": -0.420
}



6.
{
  "formula": "Ga2NiN3",
  "functional": "PBE",
  "state": "relaxed",
  "cell": [[-4.494, -2.213, 2.308], [5.037, -1.705, 1.536], [0.105, 3.630, 3.686]],
  "species": ["Ga", "Ga", "Ga", "Ga", "Ni", "Ni", "N", "N", "N", "N", "N", "N"],
  "fractional_positions": [[0.335, 0.330, 0.495], [0.665, 0.995, 0.495], [0.665, 0.670, 0.995], [0.335, 0.005, 0.995], [0.000, 0.646, 0.498], [0.000, 0.354, 0.998], [0.329, 0.335, 0.872], [0.671, 0.006, 0.872], [0.671, 0.665, 0.372], [0.329, 0.994, 0.372], [0.000, 0.669, 0.855], [0.000, 0.331, 0.355]],
  "energy_corrected_mp2020_ev_per_atom": -6.29,
  "ef_ev_per_atom": -0.1443,
  "energy_ry_per_atom": -0.449
}



7.
{
  "formula": "KCuIO6",
  "functional": "PBE",
  "state": "relaxed",
  "cell": [[2.577, -4.464, 0.000], [2.577, 4.464, 0.000], [0.000, 0.000, 6.198]],
  "species": ["K", "Cu", "I", "O", "O", "O", "O", "O", "O"],
  "fractional_positions": [[0.000, 0.000, 0.000], [0.333, 0.667, 0.500], [0.667, 0.333, 0.500], [0.385, 0.010, 0.676], [0.990, 0.376, 0.676], [0.624, 0.615, 0.676], [0.990, 0.615, 0.324], [0.624, 0.010, 0.324], [0.385, 0.376, 0.324]],
  "energy_corrected_mp2020_ev_per_atom": -5.07,
  "ef_ev_per_atom": -1.0230,
  "energy_ry_per_atom": -0.339
}



8.
{
  "formula": "GdAgGe",
  "functional": "PBE",
  "state": "relaxed",
  "cell": [[0.000, 0.000, -4.269], [-3.622, -6.273, 0.000], [-3.622, 6.273, 0.000]],
  "species": ["Gd", "Gd", "Gd", "Ag", "Ag", "Ag", "Ge", "Ge", "Ge"],
  "fractional_positions": [[0.000, 0.585, 0.000], [0.000, 0.415, 0.415], [0.000, 0.000, 0.585], [0.500, 0.000, 0.250], [0.500, 0.750, 0.750], [0.500, 0.250, 0.000], [0.000, 0.000, 0.000], [0.500, 0.333, 0.667], [0.500, 0.667, 0.333]],
  "ef_ev_per_atom": -0.6497,
  "energy_ry_per_atom": -0.575
}